## Ni2SbTe (PBE)

Data for crystalline Ni2SbTe at its relaxed geometry.

```
data_Ni2SbTe
_space_group_name_H-M_alt 'P -6 m 2'
_space_group_IT_number 187
_space_group_name_Hall 'P -6 2'
_cell_length_a 3.9930
_cell_length_b 3.9930
_cell_length_c 5.2160
_cell_angle_alpha 90.00
_cell_angle_beta 90.00
_cell_angle_gamma 120.00
loop_
_atom_site_label
_atom_site_type_symbol
_atom_site_fract_x
_atom_site_fract_y
_atom_site_fract_z
Ni1 Ni 0.0000 0.0000 0.2480
Sb1 Sb 0.6667 0.3333 0.0000
Te1 Te 0.3333 0.6667 0.5000
```

Crystal system: hexagonal
ΔE_f in eV/atom: -0.333